Entry 1:
8
Lattice="5.192 0.000 0.000 -2.596 4.498 0.000 0.000 0.000 4.114" Properties=species:S:1:pos:R:3 comment="Co3Pt | Materials Project | r2SCAN | optimized geometry" space_group="P6_3/mmc, No. 194" mass_density_g_cm3=12.86 pbc="T T T"
Co 0.000 1.408 1.028
Co 1.376 3.794 1.028
Co -1.376 3.794 1.028
Co 2.596 3.090 3.085
Co 1.220 0.704 3.085
Co 3.972 0.704 3.085
Pt 0.000 2.998 3.085
Pt 2.596 1.500 1.028


Entry 2:
5
Lattice="3.591 0.000 -0.940 -0.246 3.583 -0.940 0.051 0.055 7.528" Properties=species:S:1:pos:R:3 comment="RbCo2S2 | Materials Project | r2SCAN | optimized geometry" space_group="I4/mmm, No. 139" mass_density_g_cm3=4.57 pbc="T T T"
Rb 0.000 0.000 0.000
Co 0.739 2.715 2.824
Co 2.658 0.923 2.824
S 1.206 1.291 4.607
S 2.191 2.347 1.041


Entry 3:
4
Lattice="3.368 -2.922 -0.178 1.899 -1.448 3.770 -0.626 -4.211 1.339" Properties=species:S:1:pos:R:3 comment="Sc2CoRu | Materials Project | r2SCAN | optimized geometry" space_group="Fm-3m, No. 225" mass_density_g_cm3=6.60 pbc="T T T"
Sc 0.000 0.000 0.000
Sc 2.320 -4.291 2.465
Co 1.160 -2.145 1.233
Ru 3.480 -6.436 3.698


Entry 4:
4
Lattice="-1.624 -4.157 -1.356 1.109 -3.836 2.411 -3.249 -2.177 2.543" Properties=species:S:1:pos:R:3 comment="Tm2CoRu | Materials Project | r2SCAN | optimized geometry" space_group="Fm-3m, No. 225" mass_density_g_cm3=11.52 pbc="T T T"
Tm -1.882 -5.085 1.799
Tm 0.000 0.000 0.000
Co -0.941 -2.543 0.899
Ru -2.823 -7.628 2.698


Entry 5:
14
Lattice="5.801 0.000 3.349 1.934 5.469 3.349 0.000 0.000 6.698" Properties=species:S:1:pos:R:3 comment="Co3S4 | Materials Project | r2SCAN | optimized geometry" space_group="Fd-3m, No. 227" mass_density_g_cm3=4.77 pbc="T T T"
Co 4.834 5.469 8.373
Co 6.768 2.735 8.373
Co 3.867 2.735 3.349
Co 3.867 2.735 6.698
Co 0.967 0.684 1.675
Co 6.768 4.786 11.722
S 5.705 4.034 9.882
S 2.029 1.435 6.533
S 2.900 3.900 5.024
S 4.643 1.435 5.024
S 4.834 1.570 8.373
S 3.092 4.034 8.373
S 2.029 1.435 3.515
S 5.705 4.034 6.864


Entry 6:
4
Lattice="3.623 0.000 0.000 0.000 3.623 0.000 0.000 0.000 5.013" Properties=species:S:1:pos:R:3 comment="CoS | Materials Project | r2SCAN | optimized geometry" space_group="P4/nmm, No. 129" mass_density_g_cm3=4.59 pbc="T T T"
Co 0.000 0.000 0.000
Co 1.812 1.812 0.000
S 1.812 0.000 3.835
S 0.000 1.812 1.178


Entry 7:
10
Lattice="-3.161 3.039 -4.071 -1.963 -2.399 -5.118 -5.777 -1.052 -1.150" Properties=species:S:1:pos:R:3 comment="Co2S3 | Materials Project | r2SCAN | optimized geometry" space_group="R-3c, No. 167" mass_density_g_cm3=5.10 pbc="T T T"
Co -9.259 -0.350 -8.781
Co -7.092 -0.268 -6.726
Co -3.809 -0.144 -3.612
Co -1.642 -0.062 -1.557
S -5.051 -0.855 -7.385
S -6.678 1.697 -5.771
S -7.347 -1.563 -4.936
S -3.554 1.151 -5.402
S -4.222 -2.109 -4.568
S -5.850 0.443 -2.953


Entry 8:
13
Lattice="-6.600 -0.465 0.535 -3.355 -2.717 -5.042 -4.371 -6.906 0.246" Properties=species:S:1:pos:R:3 comment="Ti4CoS8 | Materials Project | r2SCAN | optimized geometry" space_group="C2/m, No. 12" mass_density_g_cm3=3.67 pbc="T T T"
Ti -6.906 -7.688 -0.913
Ti -7.420 -2.400 -3.348
Ti -6.379 -5.589 -3.479
Ti -7.948 -4.500 -0.782
Co 0.000 0.000 0.000
S -11.038 -5.339 -4.266
S -3.289 -4.750 0.005
S -5.998 -3.758 -1.972
S -8.329 -6.330 -2.289
S -2.826 -2.659 -2.697
S -4.474 -1.515 0.135
S -11.500 -7.430 -1.564
S -9.852 -8.574 -4.396


Number 1: calculated volume 12.009 Å³/atom, magnetic moment 12.06 μB/cell, formation energy -0.125 eV/atom. Number 2: calculated volume 19.448 Å³/atom, magnetic moment 5.00 μB/cell, formation energy -0.729 eV/atom. Number 3: calculated volume 15.709 Å³/atom, magnetic moment 0.00 μB/cell, formation energy -0.410 eV/atom. Number 4: calculated volume 17.942 Å³/atom, magnetic moment 0.00 μB/cell, formation energy -0.311 eV/atom. Number 5: calculated volume 15.180 Å³/atom, magnetic moment 5.94 μB/cell, formation energy -0.512 eV/atom. Number 6: calculated volume 16.453 Å³/atom, magnetic moment 1.15 μB/cell, formation energy -0.376 eV/atom. Number 7: calculated volume 13.932 Å³/atom, magnetic moment 0.00 μB/cell, formation energy -0.480 eV/atom. Number 8: calculated volume 17.662 Å³/atom, magnetic moment 1.40 μB/cell, formation energy -1.410 eV/atom.